SnO2: optimized geometry, PBE.

Results
Symmetry = P1
Formation enthalpy at 0 K = -1604 meV/atom
Density = 5.8 g/cm3

Cell: 10.808 11.646 11.692 Å, 93.44 91.28 97.75°
Atoms (fractional coordinates):
Sn1 0.000 0.000 0.000
Sn2 0.001 0.556 0.817
Sn3 0.010 0.701 0.463
Sn4 0.014 0.026 0.527
Sn5 0.020 0.877 0.741
Sn6 0.062 0.237 0.879
Sn7 0.064 0.478 0.241
Sn8 0.158 0.234 0.198
Sn9 0.185 0.791 0.202
Sn10 0.218 0.537 0.537
Sn11 0.250 0.761 0.763
Sn12 0.271 0.073 0.777
Sn13 0.306 0.619 0.031
Sn14 0.314 0.879 0.511
Sn15 0.341 0.106 0.369
Sn16 0.354 0.326 0.662
Sn17 0.424 0.159 0.059
Sn18 0.454 0.691 0.393
Sn19 0.496 0.639 0.748
Sn20 0.505 0.445 0.938
Sn21 0.528 0.463 0.204
Sn22 0.534 0.945 0.907
Sn23 0.608 0.246 0.740
Sn24 0.613 0.820 0.197
Sn25 0.626 0.313 0.431
Sn26 0.649 0.986 0.441
Sn27 0.732 0.147 0.140
Sn28 0.754 0.770 0.952
Sn29 0.764 0.038 0.744
Sn30 0.771 0.623 0.651
Sn31 0.808 0.435 0.030
Sn32 0.884 0.234 0.391
Sn33 0.913 0.350 0.642
Sn34 0.916 0.907 0.247
O1 0.000 0.298 0.268
O2 0.025 0.778 0.308
O3 0.041 0.858 0.552
O4 0.042 0.100 0.359
O5 0.065 0.487 0.653
O6 0.067 0.539 0.408
O7 0.075 0.918 0.144
O8 0.078 0.173 0.044
O9 0.104 0.046 0.681
O10 0.135 0.976 0.879
O11 0.163 0.182 0.365
O12 0.166 0.615 0.159
O13 0.176 0.617 0.895
O14 0.183 0.710 0.544
O15 0.207 0.243 0.770
O16 0.213 0.400 0.197
O17 0.215 0.004 0.459
O18 0.246 0.368 0.542
O19 0.285 0.243 0.982
O20 0.299 0.117 0.191
O21 0.308 0.926 0.682
O22 0.309 0.799 0.338
O23 0.315 0.614 0.687
O24 0.318 0.791 0.081
O25 0.343 0.546 0.409
O26 0.378 0.032 0.920
O27 0.389 0.473 0.076
O28 0.409 0.274 0.921
O29 0.413 0.172 0.693
O30 0.440 0.800 0.812
O31 0.444 0.779 0.543
O32 0.445 0.256 0.381
O33 0.445 0.451 0.767
O34 0.456 0.000 0.433
O35 0.458 0.611 0.923
O36 0.506 0.650 0.225
O37 0.534 0.292 0.141
O38 0.560 0.330 0.599
O39 0.572 0.066 0.056
O40 0.585 0.821 0.025
O41 0.590 0.610 0.604
O42 0.607 0.464 0.357
O43 0.612 0.097 0.822
O44 0.616 0.811 0.373
O45 0.643 0.986 0.610
O46 0.646 0.363 0.876
O47 0.647 0.505 0.068
O48 0.656 0.995 0.253
O49 0.684 0.665 0.813
O50 0.708 0.913 0.861
O51 0.710 0.160 0.459
O52 0.743 0.263 0.275
O53 0.787 0.220 0.706
O54 0.788 0.789 0.146
O55 0.816 0.264 0.033
O56 0.825 0.373 0.486
O57 0.827 0.480 0.717
O58 0.834 0.653 0.494
O59 0.859 0.972 0.406
O60 0.872 0.034 0.129
O61 0.879 0.944 0.661
O62 0.883 0.576 0.948
O63 0.903 0.501 0.175
O64 0.925 0.097 0.868
O65 0.930 0.845 0.918
O66 0.946 0.698 0.728
O67 0.976 0.208 0.545
O68 0.981 0.372 0.839


SrH2Br2O7: optimized geometry, PBE.

Results
Symmetry = C2/c
Formation enthalpy at 0 K = -1170 meV/atom
Density = 3.6 g/cm3

Cell: 7.611 7.611 9.005 Å, 125.89 125.89 61.58°
Atoms (fractional coordinates):
Sr1 0.149 0.851 0.750
Sr2 0.851 0.149 0.250
H1 0.215 0.717 0.135
H2 0.283 0.785 0.365
H3 0.717 0.215 0.635
H4 0.785 0.283 0.865
Br1 0.286 0.330 0.305
Br2 0.330 0.286 0.805
Br3 0.670 0.714 0.195
Br4 0.714 0.670 0.695
O1 0.096 0.190 0.622
O2 0.176 0.824 0.250
O3 0.190 0.096 0.122
O4 0.223 0.401 0.487
O5 0.245 0.567 0.900
O6 0.401 0.223 0.987
O7 0.433 0.755 0.600
O8 0.567 0.245 0.400
O9 0.599 0.777 0.013
O10 0.755 0.433 0.100
O11 0.777 0.599 0.513
O12 0.810 0.904 0.878
O13 0.824 0.176 0.750
O14 0.904 0.810 0.378


SnF2: optimized geometry, PBE.

Results
Symmetry = P4_12_12
Formation enthalpy at 0 K = -2568 meV/atom
Density = 4.5 g/cm3
Largest piezoelectric modulus = 0.0 C/m2

Cell: 5.230 5.230 8.492 Å, 90.00 90.00 90.00°
Atoms (fractional coordinates):
Sn1 0.004 0.004 0.000
Sn2 0.496 0.504 0.250
Sn3 0.504 0.496 0.750
Sn4 0.996 0.996 0.500
F1 0.142 0.257 0.671
F2 0.243 0.642 0.921
F3 0.257 0.142 0.329
F4 0.358 0.757 0.579
F5 0.642 0.243 0.079
F6 0.743 0.858 0.829
F7 0.757 0.358 0.421
F8 0.858 0.743 0.171


Ba2YBr7: optimized geometry, PBE.

Results
Symmetry = P2_1/c
Formation enthalpy at 0 K = -2399 meV/atom
Density = 3.5 g/cm3
ΔE to the lowest computed polymorph = 54.4 meV per atom

Cell: 7.686 18.239 14.663 Å, 90.00 121.27 90.00°
Atoms (fractional coordinates):
Ba1 0.121 0.010 0.323
Ba2 0.121 0.490 0.823
Ba3 0.238 0.228 0.983
Ba4 0.238 0.272 0.483
Ba5 0.762 0.728 0.517
Ba6 0.762 0.772 0.017
Ba7 0.879 0.510 0.177
Ba8 0.879 0.990 0.677
Y1 0.378 0.662 0.143
Y2 0.378 0.838 0.643
Y3 0.622 0.162 0.357
Y4 0.622 0.338 0.857
Br1 0.025 0.105 0.483
Br2 0.025 0.395 0.983
Br3 0.180 0.072 0.883
Br4 0.180 0.428 0.383
Br5 0.206 0.705 0.546
Br6 0.206 0.795 0.046
Br7 0.229 0.218 0.262
Br8 0.229 0.282 0.762
Br9 0.318 0.689 0.309
Br10 0.318 0.811 0.809
Br11 0.447 0.618 0.976
Br12 0.447 0.882 0.476
Br13 0.465 0.024 0.266
Br14 0.465 0.476 0.766
Br15 0.535 0.524 0.234
Br16 0.535 0.976 0.734
Br17 0.553 0.118 0.524
Br18 0.553 0.382 0.024
Br19 0.682 0.189 0.191
Br20 0.682 0.311 0.691
Br21 0.771 0.718 0.238
Br22 0.771 0.782 0.738
Br23 0.794 0.205 0.954
Br24 0.794 0.295 0.454
Br25 0.820 0.572 0.617
Br26 0.820 0.928 0.117
Br27 0.975 0.605 0.017
Br28 0.975 0.895 0.517


Q: What is the formula in the fourth record?
A: Ba2YBr7